## Sr3As2O8 (PBE)

Data for crystalline Sr3As2O8 at its relaxed geometry.

## Properties
Total magnetic moment   0.00 μB/cell
SG   P2_1/c, No. 14
Relative energy among the computed polymorphs   2 meV per atom
Energy   -6.428 eV per atom

Cell and atoms, written as extended XYZ:
```
52
Lattice="9.962 0.000 0.000 0.000 12.354 0.000 -0.884 0.000 7.105" Properties=species:S:1:pos:R:3 pbc="T T T"
Sr 0.368 1.501 1.276
Sr -0.074 4.676 4.828
Sr 2.374 1.246 4.727
Sr 2.817 4.930 1.174
Sr 2.746 8.296 4.462
Sr 3.188 10.234 0.910
Sr 5.890 2.119 6.194
Sr 6.332 4.058 2.642
Sr 6.261 7.423 5.930
Sr 6.703 11.107 2.378
Sr 9.152 7.678 2.276
Sr 8.710 10.853 5.829
As -0.006 7.870 6.354
As 0.436 10.661 2.801
As 3.813 1.270 1.322
As 3.371 4.906 4.874
As 5.707 7.447 2.231
As 5.265 11.083 5.783
As 8.642 1.693 4.303
As 9.084 4.484 0.751
O 0.089 7.138 4.791
O 0.531 11.392 1.239
O 0.234 2.335 3.916
O 0.676 3.842 0.363
O 1.355 6.856 0.534
O 0.913 11.675 4.086
O 1.025 9.249 6.170
O 1.467 9.282 2.617
O 1.939 0.768 7.102
O 2.381 5.409 3.549
O 2.694 2.054 2.377
O 2.252 4.122 5.929
O 4.008 6.373 5.520
O 4.451 12.158 1.968
O 4.468 8.601 2.588
O 4.026 9.929 6.141
O 5.052 2.425 0.964
O 4.610 3.752 4.516
O 4.627 0.196 5.137
O 5.069 5.981 1.585
O 6.826 8.231 1.176
O 6.384 10.299 4.728
O 6.696 6.944 3.555
O 7.139 11.586 0.003
O 7.611 3.072 4.487
O 8.053 3.105 0.935
O 8.165 0.679 3.018
O 7.723 5.498 6.571
O 8.402 8.512 6.741
O 8.844 10.018 3.189
O 8.547 0.961 5.866
O 8.989 5.216 2.313
```